Compound: MgV6Fe4O24
Source: the Materials Project database
Functional: GGA+U
Structure: relaxed

Computed properties:
As for the symmetry: P-1. For the calculated formation energy, the calculation gives -1973.4 meV/atom. For the total energy after the MP2020 corrections, the calculation gives -7.937 eV per atom.

Cell lengths 6.769, 8.387, 10.017 Å; angles 107.33, 105.04, 103.78 degrees
Fractional coordinates of all 35 atoms:
1 Mg 0.000 0.000 0.000
2 V 0.115 0.606 0.839
3 V 0.204 0.166 0.766
4 V 0.390 0.245 0.360
5 V 0.610 0.755 0.640
6 V 0.796 0.834 0.234
7 V 0.885 0.394 0.161
8 Fe 0.053 0.705 0.515
9 Fe 0.372 0.461 0.105
10 Fe 0.628 0.539 0.895
11 Fe 0.947 0.295 0.485
12 O 0.010 0.226 0.658
13 O 0.067 0.556 0.642
14 O 0.117 0.505 0.141
15 O 0.152 0.822 0.918
16 O 0.163 0.945 0.677
17 O 0.207 0.213 0.955
18 O 0.221 0.055 0.212
19 O 0.242 0.306 0.477
20 O 0.341 0.546 0.930
21 O 0.362 0.758 0.535
22 O 0.449 0.399 0.278
23 O 0.458 0.281 0.772
24 O 0.542 0.719 0.228
25 O 0.551 0.601 0.722
26 O 0.638 0.242 0.465
27 O 0.659 0.454 0.070
28 O 0.758 0.694 0.523
29 O 0.779 0.945 0.788
30 O 0.793 0.787 0.045
31 O 0.837 0.055 0.323
32 O 0.848 0.178 0.082
33 O 0.883 0.495 0.859
34 O 0.933 0.444 0.358
35 O 0.990 0.774 0.342

Compound: Ba2YMgNi3O8
Source: the Materials Project database
Functional: GGA+U
Structure: relaxed

Computed properties:
For the energy above the most stable polymorph in this dataset, the calculation gives 39 meV per atom. As for the symmetry: P4mm. For the calculated formation energy, the calculation gives -2059.9 meV/atom. For the total energy after the MP2020 corrections, the calculation gives -6.649 eV per atom.

Cell lengths 3.918, 3.918, 13.928 Å; angles 90.00, 90.00, 90.00 degrees
Fractional coordinates of all 15 atoms:
1 Ba 0.000 0.000 0.000
2 Ba 0.000 0.000 0.281
3 Y 0.000 0.000 0.718
4 Mg 0.000 0.000 0.511
5 Ni 0.500 0.500 0.125
6 Ni 0.500 0.500 0.516
7 Ni 0.500 0.500 0.837
8 O 0.000 0.500 0.149
9 O 0.000 0.500 0.558
10 O 0.000 0.500 0.792
11 O 0.500 0.000 0.149
12 O 0.500 0.000 0.558
13 O 0.500 0.000 0.792
14 O 0.500 0.500 0.373
15 O 0.500 0.500 0.979

Compound: Na6MnNi3Sb2O12
Source: the Materials Project database
Functional: GGA+U
Structure: relaxed

Computed properties:
As for the symmetry: P2. For the calculated formation energy, the calculation gives -1845.6 meV/atom. For the total energy after the MP2020 corrections, the calculation gives -6.099 eV per atom.

Cell lengths 5.416, 9.370, 5.717 Å; angles 90.00, 108.39, 90.00 degrees
Fractional coordinates of all 24 atoms:
1 Na 0.000 0.000 0.000
2 Na 0.000 0.324 0.000
3 Na 0.000 0.651 0.000
4 Na 0.500 0.151 0.000
5 Na 0.500 0.497 0.000
6 Na 0.500 0.827 0.000
7 Mn 0.500 0.659 0.500
8 Ni 0.000 0.159 0.500
9 Ni 0.000 0.490 0.500
10 Ni 0.500 0.993 0.500
11 Sb 0.000 0.828 0.500
12 Sb 0.500 0.322 0.500
13 O 0.217 0.668 0.708
14 O 0.229 0.985 0.702
15 O 0.243 0.831 0.293
16 O 0.250 0.325 0.702
17 O 0.269 0.478 0.292
18 O 0.274 0.165 0.298
19 O 0.726 0.165 0.702
20 O 0.731 0.478 0.708
21 O 0.750 0.325 0.298
22 O 0.757 0.831 0.707
23 O 0.771 0.985 0.298
24 O 0.783 0.668 0.292

Compound: Li9Co7O16
Source: the Materials Project database
Functional: GGA+U
Structure: relaxed

Computed properties:
For the energy above the most stable polymorph in this dataset, the calculation gives 17 meV per atom. As for the symmetry: P2/m. For the calculated formation energy, the calculation gives -1738.8 meV/atom. For the total energy after the MP2020 corrections, the calculation gives -6.305 eV per atom.

Cell lengths 4.955, 11.368, 5.039 Å; angles 90.00, 109.73, 90.00 degrees
Fractional coordinates of all 32 atoms:
1 Li 0.000 0.000 0.000
2 Li 0.000 0.116 0.500
3 Li 0.000 0.374 0.500
4 Li 0.000 0.626 0.500
5 Li 0.000 0.884 0.500
6 Li 0.500 0.000 0.500
7 Li 0.500 0.249 0.500
8 Li 0.500 0.500 0.500
9 Li 0.500 0.751 0.500
10 Co 0.000 0.246 0.000
11 Co 0.000 0.500 0.000
12 Co 0.000 0.754 0.000
13 Co 0.500 0.124 0.000
14 Co 0.500 0.375 0.000
15 Co 0.500 0.625 0.000
16 Co 0.500 0.876 0.000
17 O 0.240 0.374 0.212
18 O 0.240 0.626 0.212
19 O 0.247 0.136 0.219
20 O 0.247 0.864 0.219
21 O 0.256 0.251 0.782
22 O 0.256 0.749 0.782
23 O 0.275 0.500 0.768
24 O 0.280 0.000 0.770
25 O 0.720 0.000 0.230
26 O 0.725 0.500 0.232
27 O 0.744 0.251 0.218
28 O 0.744 0.749 0.218
29 O 0.753 0.136 0.781
30 O 0.753 0.864 0.781
31 O 0.760 0.374 0.788
32 O 0.760 0.626 0.788

Compound: LiMn3B3O9
Source: the Materials Project database
Functional: GGA+U
Structure: relaxed

Computed properties:
For the energy above the most stable polymorph in this dataset, the calculation gives 11 meV per atom. As for the symmetry: P1. For the calculated formation energy, the calculation gives -2393.6 meV/atom. For the total energy after the MP2020 corrections, the calculation gives -8.266 eV per atom.

Cell lengths 5.231, 6.194, 11.808 Å; angles 81.84, 77.62, 88.02 degrees
Fractional coordinates of all 32 atoms:
1 Li 0.000 0.000 0.000
2 Li 0.333 0.332 0.334
3 Mn 0.143 0.822 0.741
4 Mn 0.146 0.901 0.328
5 Mn 0.463 0.159 0.085
6 Mn 0.475 0.247 0.667
7 Mn 0.790 0.483 0.421
8 Mn 0.827 0.577 0.989
9 B 0.062 0.129 0.540
10 B 0.214 0.596 0.538
11 B 0.400 0.458 0.873
12 B 0.561 0.962 0.870
13 B 0.725 0.794 0.210
14 B 0.892 0.281 0.202
15 O 0.043 0.688 0.620
16 O 0.135 0.111 0.649
17 O 0.143 0.228 0.216
18 O 0.154 0.578 0.429
19 O 0.169 0.564 0.855
20 O 0.233 0.079 0.446
21 O 0.372 0.013 0.962
22 O 0.455 0.442 0.985
23 O 0.455 0.509 0.555
24 O 0.481 0.960 0.763
25 O 0.488 0.898 0.198
26 O 0.576 0.378 0.787
27 O 0.704 0.346 0.291
28 O 0.776 0.764 0.324
29 O 0.811 0.897 0.880
30 O 0.817 0.222 0.534
31 O 0.826 0.254 0.095
32 O 0.903 0.744 0.117

Compound: Ca4Mn4O11
Source: the Materials Project database
Functional: GGA+U
Structure: relaxed

Computed properties:
For the energy above the most stable polymorph in this dataset, the calculation gives 2 meV per atom. As for the symmetry: P1. For the calculated formation energy, the calculation gives -2521.3 meV/atom. For the total energy after the MP2020 corrections, the calculation gives -7.737 eV per atom.

Cell lengths 5.402, 10.853, 15.492 Å; angles 89.67, 89.97, 89.16 degrees
Fractional coordinates of all 76 atoms:
1 Ca 0.000 0.000 0.000
2 Ca 0.000 0.487 0.254
3 Ca 0.001 0.487 0.718
4 Ca 0.003 0.958 0.725
5 Ca 0.005 0.517 0.485
6 Ca 0.010 0.012 0.484
7 Ca 0.034 0.530 0.985
8 Ca 0.476 0.225 0.717
9 Ca 0.483 0.262 0.482
10 Ca 0.492 0.765 0.485
11 Ca 0.494 0.776 0.991
12 Ca 0.497 0.218 0.238
13 Ca 0.501 0.733 0.250
14 Ca 0.502 0.728 0.721
15 Ca 0.523 0.218 0.996
16 Ca 0.983 0.964 0.238
17 Mn 0.000 0.745 0.364
18 Mn 0.008 0.737 0.112
19 Mn 0.093 0.262 0.871
20 Mn 0.486 0.984 0.856
21 Mn 0.492 0.985 0.118
22 Mn 0.495 0.493 0.364
23 Mn 0.495 0.513 0.856
24 Mn 0.496 0.490 0.606
25 Mn 0.500 0.996 0.362
26 Mn 0.505 0.994 0.608
27 Mn 0.530 0.501 0.125
28 Mn 0.980 0.237 0.114
29 Mn 0.989 0.243 0.606
30 Mn 0.991 0.244 0.359
31 Mn 0.992 0.745 0.861
32 Mn 0.999 0.742 0.607
33 O 0.038 0.273 0.753
34 O 0.070 0.737 0.736
35 O 0.073 0.741 0.237
36 O 0.074 0.275 0.228
37 O 0.158 0.901 0.875
38 O 0.202 0.391 0.382
39 O 0.204 0.388 0.592
40 O 0.211 0.879 0.093
41 O 0.214 0.887 0.593
42 O 0.217 0.886 0.382
43 O 0.269 0.133 0.095
44 O 0.285 0.637 0.385
45 O 0.287 0.636 0.590
46 O 0.290 0.140 0.592
47 O 0.292 0.142 0.376
48 O 0.304 0.648 0.891
49 O 0.314 0.624 0.082
50 O 0.315 0.395 0.919
51 O 0.384 0.155 0.863
52 O 0.414 0.995 0.239
53 O 0.422 0.510 0.241
54 O 0.431 0.003 0.733
55 O 0.439 0.489 0.735
56 O 0.571 0.992 0.979
57 O 0.577 0.988 0.486
58 O 0.578 0.478 0.485
59 O 0.668 0.342 0.114
60 O 0.691 0.837 0.835
61 O 0.703 0.351 0.336
62 O 0.705 0.348 0.627
63 O 0.705 0.837 0.133
64 O 0.719 0.852 0.630
65 O 0.719 0.854 0.343
66 O 0.766 0.090 0.130
67 O 0.776 0.602 0.625
68 O 0.777 0.604 0.347
69 O 0.790 0.101 0.335
70 O 0.790 0.101 0.635
71 O 0.823 0.569 0.851
72 O 0.845 0.578 0.120
73 O 0.918 0.737 0.985
74 O 0.919 0.230 0.480
75 O 0.924 0.738 0.486
76 O 0.947 0.234 0.981

Compound: Li2FeO3
Source: the Materials Project database
Functional: GGA+U
Structure: relaxed

Computed properties:
For the calculated formation energy, the calculation gives -1878.0 meV/atom. The calculation puts the maximum piezoelectric response at 0.464 C/m2. For the total energy after the MP2020 corrections, the calculation gives -6.400 eV per atom.

Cell lengths 5.084, 5.084, 9.757 Å; angles 85.15, 94.85, 60.09 degrees
Fractional coordinates of all 24 atoms:
1 Li 0.980 0.495 0.000
2 Li 0.480 0.995 0.500
3 Li 0.743 0.758 0.250
4 Li 0.243 0.258 0.750
5 Li 0.659 0.175 0.000
6 Li 0.159 0.675 0.500
7 Li 0.833 0.349 0.500
8 Li 0.333 0.849 0.000
9 Fe 0.576 0.590 0.750
10 Fe 0.409 0.424 0.250
11 Fe 0.076 0.090 0.250
12 Fe 0.909 0.924 0.750
13 O 0.131 0.354 0.366
14 O 0.631 0.854 0.866
15 O 0.339 0.145 0.134
16 O 0.839 0.645 0.634
17 O 0.799 0.068 0.365
18 O 0.299 0.568 0.865
19 O 0.053 0.813 0.136
20 O 0.553 0.313 0.636
21 O 0.725 0.428 0.139
22 O 0.225 0.928 0.639
23 O 0.413 0.739 0.361
24 O 0.913 0.239 0.861

Compound: Mn6O5F7
Source: the Materials Project database
Functional: GGA+U
Structure: relaxed

Computed properties:
For the energy above the most stable polymorph in this dataset, the calculation gives 39 meV per atom. As for the symmetry: P1. For the calculated formation energy, the calculation gives -2402.1 meV/atom. For the total energy after the MP2020 corrections, the calculation gives -7.575 eV per atom.

Cell lengths 4.693, 5.713, 15.669 Å; angles 89.71, 89.85, 89.93 degrees
Fractional coordinates of all 36 atoms:
1 Mn 0.000 0.000 0.000
2 Mn 0.001 0.003 0.666
3 Mn 0.014 0.314 0.163
4 Mn 0.023 0.975 0.342
5 Mn 0.024 0.298 0.503
6 Mn 0.493 0.500 0.323
7 Mn 0.522 0.791 0.491
8 Mn 0.530 0.480 0.656
9 Mn 0.537 0.794 0.158
10 Mn 0.540 0.799 0.820
11 Mn 0.554 0.476 0.997
12 Mn 0.979 0.306 0.828
13 O 0.299 0.540 0.213
14 O 0.307 0.763 0.385
15 O 0.312 0.520 0.550
16 O 0.734 0.537 0.763
17 O 0.759 0.540 0.102
18 O 0.794 0.034 0.770
19 O 0.802 0.252 0.944
20 O 0.804 0.036 0.110
21 O 0.809 0.027 0.447
22 O 0.810 0.257 0.608
23 F 0.257 0.019 0.887
24 F 0.258 0.261 0.395
25 F 0.263 0.036 0.224
26 F 0.263 0.266 0.726
27 F 0.266 0.019 0.566
28 F 0.269 0.761 0.711
29 F 0.274 0.250 0.055
30 F 0.288 0.755 0.041
31 F 0.300 0.524 0.886
32 F 0.757 0.758 0.597
33 F 0.767 0.523 0.427
34 F 0.769 0.751 0.934
35 F 0.776 0.755 0.270
36 F 0.790 0.248 0.281

Compound: WF5
Source: the Materials Project database
Functional: GGA+U
Structure: relaxed

Computed properties:
For the energy above the most stable polymorph in this dataset, the calculation gives 361 meV per atom. As for the symmetry: Immm. For the calculated formation energy, the calculation gives -2356.3 meV/atom. For the total energy after the MP2020 corrections, the calculation gives -6.111 eV per atom.

Cell lengths 5.541, 5.541, 5.541 Å; angles 140.55, 133.00, 62.99 degrees
Fractional coordinates of all 6 atoms:
1 W 0.000 0.000 0.000
2 F 0.202 0.202 0.000
3 F 0.235 0.500 0.735
4 F 0.500 0.000 0.500
5 F 0.765 0.500 0.265
6 F 0.798 0.798 0.000

Compound: Zr8MnCu2P12O48
Source: the Materials Project database
Functional: GGA+U
Structure: relaxed

Computed properties:
As for the symmetry: P-1. For the calculated formation energy, the calculation gives -3048.6 meV/atom. For the total energy after the MP2020 corrections, the calculation gives -8.516 eV per atom.

Cell lengths 9.013, 9.047, 15.663 Å; angles 90.21, 106.69, 119.68 degrees
Fractional coordinates of all 71 atoms:
1 Zr 0.133 0.339 0.427
2 Zr 0.151 0.871 0.928
3 Zr 0.360 0.407 0.821
4 Zr 0.360 0.896 0.319
5 Zr 0.640 0.104 0.681
6 Zr 0.640 0.593 0.179
7 Zr 0.849 0.129 0.072
8 Zr 0.867 0.661 0.573
9 Mn 0.000 0.500 0.000
10 Cu 0.416 0.659 0.670
11 Cu 0.584 0.341 0.330
12 P 0.032 0.010 0.269
13 P 0.033 0.521 0.773
14 P 0.241 0.276 0.016
15 P 0.248 0.764 0.517
16 P 0.451 0.859 0.122
17 P 0.463 0.377 0.622
18 P 0.537 0.623 0.378
19 P 0.549 0.141 0.878
20 P 0.752 0.236 0.483
21 P 0.759 0.724 0.984
22 P 0.967 0.479 0.227
23 P 0.968 0.990 0.731
24 O 0.003 0.380 0.301
25 O 0.007 0.898 0.812
26 O 0.059 0.605 0.869
27 O 0.061 0.109 0.357
28 O 0.082 0.293 0.028
29 O 0.096 0.779 0.533
30 O 0.127 0.667 0.247
31 O 0.133 0.174 0.750
32 O 0.185 0.084 0.999
33 O 0.193 0.575 0.495
34 O 0.205 0.009 0.275
35 O 0.210 0.526 0.779
36 O 0.264 0.776 0.044
37 O 0.284 0.302 0.543
38 O 0.284 0.362 0.935
39 O 0.308 0.863 0.442
40 O 0.377 0.480 0.400
41 O 0.397 0.999 0.909
42 O 0.405 0.365 0.103
43 O 0.413 0.845 0.610
44 O 0.440 0.944 0.204
45 O 0.442 0.466 0.703
46 O 0.490 0.715 0.145
47 O 0.496 0.232 0.653
48 O 0.504 0.768 0.347
49 O 0.510 0.285 0.855
50 O 0.558 0.534 0.297
51 O 0.560 0.056 0.796
52 O 0.587 0.155 0.390
53 O 0.595 0.635 0.897
54 O 0.603 0.001 0.091
55 O 0.623 0.520 0.600
56 O 0.692 0.137 0.558
57 O 0.716 0.638 0.065
58 O 0.716 0.698 0.457
59 O 0.736 0.224 0.956
60 O 0.790 0.474 0.221
61 O 0.795 0.991 0.725
62 O 0.807 0.425 0.505
63 O 0.815 0.916 0.001
64 O 0.867 0.826 0.250
65 O 0.873 0.333 0.753
66 O 0.904 0.221 0.467
67 O 0.918 0.707 0.972
68 O 0.939 0.891 0.643
69 O 0.941 0.395 0.131
70 O 0.993 0.102 0.188
71 O 0.997 0.620 0.699